(1)
A plane-wave DFT calculation with PBE was carried out for an optimized crystal structure of CaGa4.

Lattice parameters (Å, degrees): 4.3833 4.3833 6.1780 69.83 69.83 89.72
Fractional positions:
Ca  0.0000  0.0000  0.0000
Ga  0.5980  0.5980  0.7701
Ga  0.4020  0.4020  0.2299
Ga  0.7650  0.2350  0.5000
Ga  0.2350  0.7650  0.5000

Electronic total energy ... -3.19 eV/atom
Density ... 5.107 Mg/m³
Formation enthalpy at 0 K ... -364 meV/atom

(2)
A plane-wave DFT calculation with PBE was carried out for an optimized crystal structure of Ca3Ga8.

Lattice parameters (Å, degrees): 13.2896 13.2896 13.2896 161.31 161.19 26.64
Fractional positions:
Ca  0.0000  0.0000  0.0000
Ca  0.8548  0.3548  0.5000
Ca  0.1452  0.6452  0.5000
Ga  0.2497  0.2497  0.0000
Ga  0.7503  0.7503  0.0000
Ga  0.4518  0.4518  0.0000
Ga  0.5482  0.5482  0.0000
Ga  0.5946  0.0946  0.5000
Ga  0.4054  0.9054  0.5000
Ga  0.6908  0.1908  0.5000
Ga  0.3092  0.8092  0.5000

Electronic total energy ... -3.19 eV/atom
Density ... 4.645 Mg/m³
Formation enthalpy at 0 K ... -437 meV/atom

(3)
A plane-wave DFT calculation with PBE was carried out for an optimized crystal structure of CaGa4.

Lattice parameters (Å, degrees): 6.2251 6.2251 6.2251 138.74 138.74 59.77
Fractional positions:
Ca  0.0000  0.0000  0.0000
Ga  0.2500  0.7500  0.5000
Ga  0.7500  0.2500  0.5000
Ga  0.3852  0.3852  0.0000
Ga  0.6148  0.6148  0.0000

Electronic total energy ... -3.19 eV/atom
Density ... 5.101 Mg/m³
Formation enthalpy at 0 K ... -366 meV/atom

Repeat the third record exactly.
A plane-wave DFT calculation with PBE was carried out for an optimized crystal structure of CaGa4.

Lattice parameters (Å, degrees): 6.2251 6.2251 6.2251 138.74 138.74 59.77
Fractional positions:
Ca  0.0000  0.0000  0.0000
Ga  0.2500  0.7500  0.5000
Ga  0.7500  0.2500  0.5000
Ga  0.3852  0.3852  0.0000
Ga  0.6148  0.6148  0.0000

Electronic total energy ... -3.19 eV/atom
Density ... 5.101 Mg/m³
Formation enthalpy at 0 K ... -366 meV/atom